Compound: Ba
Source: Materials Project
Functional: GGA-PBE
Structure: relaxed

abc: 8.3449 8.3449 7.5515
angles: 90.00 90.00 90.00
Space group I4/mcm (No. 140)
Asymmetric unit:
Ba 0.1750 0.3250 0.0000 x8

Calculated values
For the energy relative to the lowest polymorph listed for this composition, the calculation gives 0.130 eV per atom. The calculation puts the electronic total energy at -1.789 eV/atom. The formation energy comes out at 0.13 eV/atom.

=====

Compound: Sr2CrN3
Source: Materials Project
Functional: GGA-PBE
Structure: relaxed

abc: 5.6494 11.0169 12.3076
angles: 90.00 90.00 90.00
Space group Cmce (No. 64)
Asymmetric unit:
Sr 0.0000 0.0574 0.1416 x8
Sr 0.0000 0.1424 0.5800 x8
Cr 0.0000 0.2434 0.3361 x8
N 0.0000 0.0884 0.3685 x8
N 0.0000 0.1594 0.9512 x8
N 0.2500 0.2240 0.7500 x8

Calculated values
The calculation puts the electronic total energy at -7.235 eV/atom. The formation energy comes out at -1.08 eV/atom.

=====

Compound: NbSnRu
Source: Materials Project
Functional: GGA-PBE
Structure: relaxed

abc: 6.2840 6.2840 6.2840
angles: 90.00 90.00 90.00
Space group F-43m (No. 216)
Asymmetric unit:
Nb 0.0000 0.0000 0.0000 x4
Sn 0.2500 0.2500 0.2500 x4
Ru 0.0000 0.0000 0.5000 x4

Calculated values
The calculation puts the electronic total energy at -7.174 eV/atom. The formation energy comes out at 0.62 eV/atom.

=====

Compound: KUC3O10
Source: Materials Project
Functional: GGA-PBE
Structure: relaxed

abc: 5.4828 19.8049 9.9034
angles: 90.00 115.21 90.00
Space group P2_1/c (No. 14)
Asymmetric unit:
K 0.0090 0.1207 0.1069 x4
U 0.0472 0.1630 0.5101 x4
C 0.1446 0.5021 0.0604 x4
C 0.4128 0.7169 0.6902 x4
C 0.4796 0.7238 0.2982 x4
O 0.0497 0.0366 0.8572 x4
O 0.1283 0.6644 0.8721 x4
O 0.2132 0.7250 0.5648 x4
O 0.2240 0.1568 0.3917 x4
O 0.2341 0.5607 0.1057 x4
O 0.2664 0.0535 0.6053 x4
O 0.2954 0.0454 0.9250 x4
O 0.3100 0.2300 0.0803 x4
O 0.3280 0.6725 0.2579 x4
O 0.4376 0.1656 0.7653 x4

Calculated values
The calculation puts the electronic total energy at -7.560 eV/atom. The formation energy comes out at -1.70 eV/atom.

=====

Compound: Na9Ca10Nb2P3S15O72
Source: Materials Project
Functional: GGA-PBE
Structure: relaxed

abc: 9.1859 9.2127 23.9083
angles: 89.79 89.74 60.16
Space group P1 (No. 1)
Asymmetric unit:
Na 0.0000 0.0000 0.0000 x1
Na 0.0062 0.9899 0.4991 x1
Na 0.0269 0.6555 0.0721 x1
Na 0.3151 0.3363 0.6580 x1
Na 0.3282 0.3116 0.1587 x1
Na 0.6185 0.9903 0.2502 x1
Na 0.6550 0.6636 0.3320 x1
Na 0.6654 0.0175 0.5725 x1
Na 0.6796 0.6522 0.8314 x1
Ca 0.0062 0.9897 0.6435 x1
Ca 0.0078 0.9963 0.1435 x1
Ca 0.3268 0.3253 0.8120 x1
Ca 0.3284 0.3215 0.3133 x1
Ca 0.3331 0.3230 0.5059 x1
Ca 0.3348 0.3202 0.0058 x1
Ca 0.6533 0.6517 0.1809 x1
Ca 0.6639 0.6566 0.9763 x1
Ca 0.6662 0.6565 0.4764 x1
Ca 0.6666 0.6486 0.6815 x1
Nb 0.0042 0.9885 0.3464 x1
Nb 0.9991 0.9816 0.8466 x1
P 0.0280 0.6258 0.9104 x1
P 0.2950 0.9879 0.2469 x1
P 0.6421 0.0161 0.4076 x1
S 0.0283 0.3147 0.4086 x1
S 0.2884 0.7010 0.7474 x1
S 0.3233 0.0201 0.9075 x1
S 0.3250 0.6306 0.4076 x1
S 0.3625 0.6511 0.0772 x1
S 0.3709 0.9543 0.5779 x1
S 0.6421 0.3129 0.9071 x1
S 0.6628 0.3540 0.5781 x1
S 0.6652 0.9541 0.0805 x1
S 0.7105 0.9873 0.7464 x1
S 0.7132 0.2744 0.2479 x1
S 0.9641 0.3610 0.0774 x1
S 0.9640 0.6551 0.5788 x1
S 0.9975 0.2770 0.7479 x1
S 0.9979 0.7027 0.2460 x1
O 0.0092 0.1874 0.6963 x1
O 0.0118 0.7771 0.1934 x1
O 0.0116 0.8122 0.8944 x1
O 0.0137 0.1547 0.3998 x1
O 0.1076 0.3383 0.3591 x1
O 0.1227 0.5165 0.8613 x1
O 0.1227 0.5749 0.9660 x1
O 0.1287 0.2812 0.4596 x1
O 0.1325 0.3515 0.0744 x1
O 0.1353 0.5079 0.5744 x1
O 0.1436 0.5352 0.2531 x1
O 0.1481 0.2951 0.7523 x1
O 0.1639 0.0046 0.8978 x1
O 0.1667 0.8056 0.3984 x1
O 0.1816 0.9838 0.2995 x1
O 0.1855 0.8112 0.7977 x1
O 0.1884 0.8005 0.0791 x1
O 0.1957 0.7790 0.6966 x1
O 0.1983 0.9997 0.1948 x1
O 0.1991 0.9783 0.5809 x1
O 0.2886 0.1190 0.9589 x1
O 0.2895 0.5660 0.4589 x1
O 0.3064 0.5341 0.7536 x1
O 0.3196 0.1415 0.2513 x1
O 0.3408 0.4999 0.0751 x1
O 0.3437 0.5301 0.3583 x1
O 0.3482 0.1002 0.8586 x1
O 0.3627 0.1217 0.5745 x1
O 0.4465 0.6652 0.0267 x1
O 0.4521 0.6945 0.7499 x1
O 0.4531 0.8569 0.5271 x1
O 0.4566 0.6393 0.1285 x1
O 0.4640 0.8478 0.9133 x1
O 0.4687 0.6582 0.4129 x1
O 0.4690 0.8277 0.2516 x1
O 0.4706 0.8706 0.6287 x1
O 0.5114 0.3314 0.5758 x1
O 0.5171 0.1241 0.0751 x1
O 0.5375 0.1037 0.3559 x1
O 0.5392 0.3326 0.8583 x1
O 0.5451 0.1368 0.7537 x1
O 0.5459 0.2888 0.2542 x1
O 0.5791 0.2762 0.9587 x1
O 0.5800 0.1171 0.4621 x1
O 0.6497 0.8774 0.1337 x1
O 0.6508 0.4486 0.6293 x1
O 0.6697 0.4564 0.9126 x1
O 0.6751 0.8366 0.4119 x1
O 0.6770 0.4367 0.5274 x1
O 0.6817 0.8475 0.0319 x1
O 0.7024 0.4393 0.2484 x1
O 0.7028 0.8311 0.7495 x1
O 0.7867 0.0008 0.6942 x1
O 0.7886 0.1777 0.1972 x1
O 0.8124 0.1797 0.5804 x1
O 0.8175 0.1556 0.8972 x1
O 0.8213 0.1769 0.2981 x1
O 0.8241 0.9793 0.7959 x1
O 0.8248 0.9616 0.0818 x1
O 0.8264 0.9999 0.3940 x1
O 0.8368 0.7004 0.2481 x1
O 0.8415 0.4423 0.7502 x1
O 0.8464 0.6649 0.9129 x1
O 0.8561 0.4541 0.4141 x1
O 0.8623 0.6731 0.5287 x1
O 0.8669 0.4452 0.0268 x1
O 0.8807 0.4595 0.1285 x1
O 0.8822 0.6390 0.6302 x1
O 0.9713 0.8148 0.5816 x1
O 0.9862 0.1904 0.0795 x1
O 0.9872 0.8149 0.2952 x1
O 0.9913 0.1752 0.7976 x1

Calculated values
The calculation puts the electronic total energy at -6.449 eV/atom. The formation energy comes out at -2.51 eV/atom.

=====

Compound: Na3Al2P3O12
Source: Materials Project
Functional: GGA-PBE
Structure: relaxed

abc: 14.8537 8.5660 21.4902
angles: 90.00 90.03 90.00
Space group Cc (No. 9)
Asymmetric unit:
Na 0.0000 0.9999 0.0000 x4
Na 0.9995 0.3638 0.2500 x4
Na 0.0153 0.3165 0.5832 x4
Na 0.1678 0.1354 0.4166 x4
Na 0.1703 0.4881 0.1667 x4
Na 0.1825 0.1837 0.7504 x4
Na 0.3334 0.9999 0.3334 x4
Na 0.3329 0.3653 0.5833 x4
Na 0.4850 0.1838 0.4166 x4
Al 0.0018 0.0033 0.1479 x4
Al 0.1677 0.4942 0.0188 x4
Al 0.1701 0.4977 0.3146 x4
Al 0.3333 0.0062 0.9812 x4
Al 0.3327 0.0066 0.1856 x4
Al 0.4976 0.4973 0.8521 x4
P 0.0212 0.3542 0.4167 x4
P 0.1459 0.1457 0.2505 x4
P 0.1690 0.2121 0.9160 x4
P 0.1886 0.1405 0.5833 x4
P 0.3121 0.3591 0.4172 x4
P 0.3316 0.2874 0.0835 x4
P 0.3554 0.3592 0.7495 x4
P 0.4794 0.1457 0.5833 x4
P 0.4980 0.2119 0.2502 x4
O 0.0142 0.1751 0.4092 x4
O 0.0183 0.1868 0.6921 x4
O 0.0631 0.4342 0.3587 x4
O 0.0726 0.4334 0.0758 x4
O 0.0822 0.3773 0.4748 x4
O 0.0833 0.1057 0.9098 x4
O 0.0832 0.1219 0.1940 x4
O 0.0838 0.3942 0.7565 x4
O 0.0927 0.0713 0.5906 x4
O 0.1049 0.0662 0.3090 x4
O 0.1479 0.3163 0.9725 x4
O 0.1531 0.3253 0.2578 x4
O 0.1783 0.3224 0.5768 x4
O 0.1834 0.3103 0.8569 x4
O 0.2312 0.0697 0.5246 x4
O 0.2388 0.0667 0.2427 x4
O 0.2493 0.1208 0.6412 x4
O 0.2494 0.3794 0.3609 x4
O 0.2491 0.3967 0.0761 x4
O 0.2514 0.1034 0.9236 x4
O 0.2598 0.4287 0.7570 x4
O 0.2702 0.4299 0.4764 x4
O 0.3164 0.1870 0.1411 x4
O 0.3224 0.1772 0.4236 x4
O 0.3451 0.1773 0.7428 x4
O 0.3531 0.1854 0.0265 x4
O 0.3970 0.4304 0.6903 x4
O 0.4075 0.4286 0.4096 x4
O 0.4158 0.1026 0.2432 x4
O 0.4173 0.3939 0.0903 x4
O 0.4179 0.3794 0.8058 x4
O 0.4186 0.1226 0.5253 x4
O 0.4282 0.0666 0.9241 x4
O 0.4375 0.0664 0.6413 x4
O 0.4840 0.3116 0.3088 x4
O 0.4867 0.3250 0.5905 x4

Calculated values
For the energy relative to the lowest polymorph listed for this composition, the calculation gives 0.000 eV per atom. The calculation puts the electronic total energy at -6.823 eV/atom. The formation energy comes out at -2.88 eV/atom.